Entry 1:
Here is a relaxed Ho5NiSb2 crystal from the Materials Project database. Energies are from r2SCAN.

a b c (Å): 7.9078 8.6924 12.0838
angles (deg): 90.00 90.00 90.00
Atoms (fractional coordinates):
Ho 0.3214 0.5380 0.4332
Ho 0.8720 0.2500 0.8080
Ho 0.1786 0.5380 0.9332
Ho 0.3214 0.9620 0.4332
Ho 0.1280 0.7500 0.1920
Ho 0.8410 0.7500 0.7953
Ho 0.3720 0.7500 0.6920
Ho 0.9551 0.7500 0.5008
Ho 0.4551 0.2500 0.9992
Ho 0.6786 0.4620 0.5668
Ho 0.8214 0.0380 0.0668
Ho 0.6590 0.7500 0.2953
Ho 0.5449 0.7500 0.0008
Ho 0.0449 0.2500 0.4992
Ho 0.6786 0.0380 0.5668
Ho 0.1786 0.9620 0.9332
Ho 0.6280 0.2500 0.3080
Ho 0.3410 0.2500 0.7047
Ho 0.8214 0.4620 0.0668
Ho 0.1590 0.2500 0.2047
Ni 0.9260 0.7500 0.0112
Ni 0.5740 0.7500 0.5112
Ni 0.0740 0.2500 0.9888
Ni 0.4260 0.2500 0.4888
Sb 0.9334 0.4926 0.3266
Sb 0.4334 0.5074 0.1734
Sb 0.4334 0.9926 0.1734
Sb 0.5666 0.4926 0.8266
Sb 0.0666 0.5074 0.6734
Sb 0.5666 0.0074 0.8266
Sb 0.9334 0.0074 0.3266
Sb 0.0666 0.9926 0.6734

Properties
energy of formation from the pure elements: -0.84 eV/atom
SG: Pnma
E: -29.31 eV/atom



Entry 2:
Here is a relaxed CeMg2 crystal from the Materials Project database. Energies are from r2SCAN.

a b c (Å): 3.1119 3.1119 17.1877
angles (deg): 90.00 90.00 120.00
Atoms (fractional coordinates):
Ce 0.3333 0.6667 0.7500
Ce 0.6667 0.3333 0.2500
Mg 0.6667 0.3333 0.9226
Mg 0.6667 0.3333 0.5774
Mg 0.3333 0.6667 0.4226
Mg 0.3333 0.6667 0.0774

Properties
energy of formation from the pure elements: -0.01 eV/atom
SG: P6_3/mmc
E: -13.07 eV/atom



Entry 3:
Here is a relaxed K4TiO4 crystal from the Materials Project database. Energies are from r2SCAN.

a b c (Å): 6.6069 10.4956 10.6555
angles (deg): 68.49 90.00 90.00
Atoms (fractional coordinates):
K 0.5841 0.9405 0.6964
K 0.1030 0.8334 0.5838
K 0.9159 0.9405 0.1964
K 0.3252 0.6318 0.8895
K 0.7904 0.5655 0.7995
K 0.3970 0.8334 0.0838
K 0.1748 0.6318 0.3895
K 0.2904 0.4345 0.7005
K 0.7096 0.5655 0.2995
K 0.8252 0.3682 0.6105
K 0.6030 0.1666 0.9162
K 0.2096 0.4345 0.2005
K 0.6748 0.3682 0.1105
K 0.0841 0.0595 0.8036
K 0.8970 0.1666 0.4162
K 0.4159 0.0595 0.3036
Ti 0.8648 0.7567 0.9921
Ti 0.6352 0.7567 0.4921
Ti 0.3648 0.2433 0.5079
Ti 0.1352 0.2433 0.0079
O 0.7615 0.9244 0.9704
O 0.9944 0.7737 0.8350
O 0.7385 0.9244 0.4704
O 0.4638 0.6938 0.6395
O 0.5056 0.7737 0.3350
O 0.8483 0.6363 0.5235
O 0.0362 0.6938 0.1395
O 0.3483 0.3637 0.9765
O 0.6517 0.6363 0.0235
O 0.9638 0.3062 0.8605
O 0.1517 0.3637 0.4765
O 0.4944 0.2263 0.6650
O 0.5362 0.3062 0.3605
O 0.2615 0.0756 0.5296
O 0.0056 0.2263 0.1650
O 0.2385 0.0756 0.0296

Properties
polymorph energy (0 for the lowest one): 8 meV/atom
energy of formation from the pure elements: -2.27 eV/atom
SG: P2_1/c
E: -9.03 eV/atom



Entry 4:
Here is a relaxed SrIn3Hg crystal from the Materials Project database. Energies are from r2SCAN.

a b c (Å): 7.1378 7.1378 7.1378
angles (deg): 141.41 141.41 55.72
Atoms (fractional coordinates):
Sr 0.0066 0.0066 0.0000
In 0.7475 0.2475 0.5000
In 0.2475 0.7475 0.5000
In 0.3899 0.3899 0.0000
Hg 0.6085 0.6085 0.0000

Properties
energy of formation from the pure elements: -0.42 eV/atom
SG: I4mm
E: -26.87 eV/atom



What is the formula in the first record?
Ho5NiSb2